(1)
## Li9Mn2Co5O16 (PBE+U)

Data for an optimized crystal structure of Li9Mn2Co5O16.

a b c (Å): 2.907 10.148 10.227
angles (deg): 108.93 90.66 90.78
Atoms (fractional coordinates):
Li (0.000, 0.000, 0.000)
Li (0.002, 0.749, 0.250)
Li (0.006, 0.242, 0.245)
Li (0.497, 0.007, 0.242)
Li (0.499, 0.503, 0.251)
Li (0.501, 0.497, 0.749)
Li (0.503, 0.993, 0.758)
Li (0.994, 0.758, 0.755)
Li (0.998, 0.251, 0.750)
Mn (0.500, 0.246, 0.002)
Mn (0.500, 0.754, 0.998)
Co (0.000, 0.000, 0.500)
Co (0.000, 0.500, 0.000)
Co (0.000, 0.500, 0.500)
Co (0.497, 0.750, 0.500)
Co (0.503, 0.250, 0.500)
O (0.005, 0.372, 0.106)
O (0.005, 0.857, 0.111)
O (0.009, 0.630, 0.382)
O (0.014, 0.129, 0.384)
O (0.479, 0.619, 0.614)
O (0.486, 0.121, 0.616)
O (0.493, 0.385, 0.894)
O (0.500, 0.141, 0.117)
O (0.500, 0.859, 0.883)
O (0.507, 0.615, 0.106)
O (0.514, 0.879, 0.384)
O (0.521, 0.381, 0.386)
O (0.986, 0.871, 0.616)
O (0.991, 0.370, 0.618)
O (0.995, 0.143, 0.889)
O (0.995, 0.628, 0.894)

E above lowest polymorph (meV/atom): 13
Space-group type: P-1, No. 2
Crystal system: triclinic
ΔE_f (eV per formula unit): -59.229

(2)
## Na2SrMnV2O8 (PBE+U)

Data for an optimized crystal structure of Na2SrMnV2O8.

a b c (Å): 14.002 5.648 9.792
angles (deg): 90.00 90.06 90.00
Atoms (fractional coordinates):
Na (0.084, 0.023, 0.319)
Na (0.084, 0.477, 0.819)
Na (0.414, 0.517, 0.150)
Na (0.414, 0.983, 0.650)
Na (0.586, 0.017, 0.350)
Na (0.586, 0.483, 0.850)
Na (0.916, 0.523, 0.181)
Na (0.916, 0.977, 0.681)
Sr (0.250, 0.561, 0.461)
Sr (0.250, 0.939, 0.961)
Sr (0.750, 0.061, 0.039)
Sr (0.750, 0.439, 0.539)
Mn (0.000, 0.000, 0.000)
Mn (0.000, 0.500, 0.500)
Mn (0.500, 0.000, 0.000)
Mn (0.500, 0.500, 0.500)
V (0.137, 0.020, 0.649)
V (0.137, 0.480, 0.149)
V (0.363, 0.033, 0.317)
V (0.363, 0.467, 0.817)
V (0.637, 0.533, 0.183)
V (0.637, 0.967, 0.683)
V (0.863, 0.520, 0.851)
V (0.863, 0.980, 0.351)
O (0.075, 0.012, 0.804)
O (0.075, 0.488, 0.304)
O (0.086, 0.691, 0.039)
O (0.086, 0.809, 0.539)
O (0.123, 0.192, 0.082)
O (0.123, 0.308, 0.582)
O (0.245, 0.015, 0.362)
O (0.245, 0.485, 0.862)
O (0.253, 0.555, 0.185)
O (0.253, 0.945, 0.685)
O (0.381, 0.003, 0.140)
O (0.381, 0.497, 0.640)
O (0.408, 0.193, 0.868)
O (0.408, 0.307, 0.368)
O (0.425, 0.688, 0.908)
O (0.425, 0.812, 0.408)
O (0.575, 0.188, 0.592)
O (0.575, 0.312, 0.092)
O (0.592, 0.693, 0.632)
O (0.592, 0.807, 0.132)
O (0.619, 0.503, 0.360)
O (0.619, 0.997, 0.860)
O (0.747, 0.055, 0.315)
O (0.747, 0.445, 0.815)
O (0.755, 0.515, 0.138)
O (0.755, 0.985, 0.638)
O (0.877, 0.692, 0.418)
O (0.877, 0.808, 0.918)
O (0.914, 0.191, 0.461)
O (0.914, 0.309, 0.961)
O (0.925, 0.512, 0.696)
O (0.925, 0.988, 0.196)

Space-group type: P2_1/c, No. 14
Crystal system: monoclinic
ΔE_f (eV per formula unit): -35.601